LiCa2NiN2: optimized geometry, PBE.

Structure (POSCAR):
```
LiCa2NiN2
1.0
3.527 0.000 0.000
0.000 3.914 0.000
0.000 0.000 13.470
N Ca Li Ni
4 4 2 2
Cartesian
1.764 0.000 3.367
1.764 0.000 10.102
0.000 1.957 6.735
0.000 1.957 0.000
0.000 0.000 1.704
0.000 0.000 11.766
0.000 0.000 8.438
0.000 0.000 5.031
1.764 1.957 10.102
1.764 1.957 3.367
1.764 1.957 0.000
1.764 1.957 6.735
```


Li6Ca12Re4N16O3: optimized geometry, PBE.

Structure (POSCAR):
```
Li6Ca12Re4N16O3
1.0
-6.556 6.556 6.556
6.556 -6.556 6.556
6.556 6.556 -6.556
Ca N Li Re O
24 32 12 8 6
Cartesian
6.064 0.990 1.741
1.741 7.048 5.566
3.770 1.537 4.268
4.815 6.064 -0.990
4.268 -3.770 5.019
0.990 11.371 0.492
1.537 4.268 3.770
-0.990 4.815 6.064
-3.770 5.019 4.268
4.268 3.770 1.537
1.741 6.064 0.990
5.566 1.741 7.048
11.371 0.492 0.990
1.537 8.844 2.786
2.288 3.770 -1.537
5.019 4.268 -3.770
2.786 1.537 8.844
6.064 -0.990 4.815
3.770 -1.537 2.288
0.990 1.741 6.064
7.048 5.566 1.741
0.492 0.990 11.371
8.844 2.786 1.537
-1.537 2.288 3.770
9.077 -2.521 2.521
-2.521 2.521 9.077
4.553 6.906 5.124
2.928 -1.275 8.402
1.432 4.553 6.206
-1.275 4.710 3.628
8.402 2.928 -1.275
5.124 4.553 6.906
3.628 -1.275 4.710
-0.757 5.799 0.757
1.846 3.628 1.275
3.628 1.275 1.846
8.558 0.350 1.432
6.906 5.124 4.553
-1.275 8.402 2.928
0.350 1.432 8.558
5.799 0.757 -0.757
0.757 -0.757 5.799
-3.628 7.831 4.710
1.432 8.558 0.350
4.710 -3.628 7.831
2.003 6.206 -1.432
6.206 -1.432 2.003
0.757 0.757 0.757
4.035 4.035 4.035
4.553 6.206 1.432
6.206 1.432 4.553
-1.432 2.003 6.206
2.521 9.077 -2.521
7.831 4.710 -3.628
4.710 3.628 -1.275
1.275 1.846 3.628
3.278 -0.344 6.556
9.489 0.000 3.278
0.000 3.278 9.489
3.278 3.622 6.556
0.344 0.000 3.278
3.278 9.489 0.000
6.556 3.278 -0.344
3.622 6.556 3.278
-0.344 6.556 3.278
0.000 3.278 0.344
6.556 3.278 3.622
3.278 0.344 0.000
-1.450 1.450 8.006
1.828 1.828 1.828
8.006 -1.450 1.450
-1.828 4.728 1.828
4.728 1.828 -1.828
1.828 -1.828 4.728
1.450 8.006 -1.450
5.106 5.106 5.106
3.278 1.639 6.556
6.556 -3.278 4.917
1.639 6.556 3.278
4.917 6.556 -3.278
6.556 3.278 1.639
-3.278 4.917 6.556
```


LiCa3Si2N5: optimized geometry, PBE.

Structure (POSCAR):
```
LiCa3Si2N5
1.0
10.259 2.591 0.000
-10.259 2.591 0.000
0.000 0.192 10.419
N Li Ca Si
20 4 12 8
Cartesian
7.633 3.327 4.409
-7.633 2.047 6.010
4.639 3.846 3.995
-3.618 1.944 0.916
0.679 1.503 6.488
0.679 3.968 9.140
-3.618 3.334 4.294
3.618 2.040 6.125
7.633 1.951 0.801
-4.639 1.528 6.423
-4.639 3.942 9.205
3.618 3.430 9.503
-2.005 1.388 9.062
2.005 3.986 1.357
-0.679 1.406 1.279
-2.005 4.082 6.566
-7.633 3.423 9.618
2.005 1.292 3.853
-0.679 3.871 3.930
4.639 1.432 1.214
7.080 2.639 2.605
-2.622 2.639 2.605
2.622 2.735 7.814
-7.080 2.735 7.814
1.840 1.339 1.507
-4.413 4.030 6.726
4.413 3.934 1.517
-0.390 3.916 1.376
-1.840 1.435 6.716
1.840 3.939 3.703
0.390 4.012 6.586
4.413 1.344 3.692
-0.390 1.362 3.833
0.390 1.458 9.042
-1.840 4.035 8.912
-4.413 1.440 8.902
2.149 1.157 5.605
-2.149 1.061 0.395
-4.031 1.691 4.713
-2.149 4.217 4.814
4.031 3.683 5.706
2.149 4.313 10.023
-4.031 3.587 0.496
4.031 1.787 9.922
```


Li4Ca3Nb6O20: optimized geometry, PBE.

Structure (POSCAR):
```
Li4Ca3Nb6O20
1.0
2.843 -14.189 0.000
2.843 14.189 0.000
0.000 0.000 5.620
Nb O Li Ca
6 20 4 3
Cartesian
2.843 -4.134 2.810
2.843 4.099 2.810
2.843 -0.059 2.810
2.843 -10.092 0.000
2.843 10.043 0.000
2.843 14.130 0.000
2.843 6.018 2.810
1.396 0.179 1.431
4.290 0.179 4.190
2.843 8.141 0.000
1.369 -3.935 1.455
2.843 -6.035 2.810
4.261 3.873 4.218
2.843 2.035 2.810
2.843 -1.955 2.810
1.425 3.873 1.402
1.425 3.873 4.218
4.316 -3.935 4.166
2.843 -8.174 0.000
2.843 12.235 0.000
4.290 0.179 1.431
1.396 0.179 4.190
4.316 -3.935 1.455
1.369 -3.935 4.166
2.843 -12.154 0.000
4.261 3.873 1.402
4.228 7.132 2.810
4.237 -7.080 0.000
1.448 -7.080 0.000
1.458 7.132 2.810
2.843 11.734 2.810
2.843 2.111 0.000
2.843 -12.136 2.810
```


Li7Ca8Nb12O40: optimized geometry, PBE.

Structure (POSCAR):
```
Li7Ca8Nb12O40
1.0
-1.552 2.629 4.682
2.370 -4.035 3.056
23.018 13.630 0.155
O Ca Nb Li
40 8 12 7
Cartesian
1.879 0.649 4.020
11.404 3.134 5.030
20.022 11.393 2.041
3.112 3.125 4.314
5.967 4.385 6.038
0.354 3.239 4.648
8.501 4.525 1.987
13.464 4.283 3.451
1.732 -2.066 3.046
22.003 11.593 3.877
12.713 8.514 5.866
15.882 6.258 3.557
3.452 1.540 1.981
4.406 -0.603 3.519
12.391 9.067 2.870
15.282 7.667 5.903
11.084 3.683 2.020
7.430 -0.801 3.160
8.912 3.820 5.873
23.520 9.014 3.245
11.746 6.365 2.483
22.141 14.309 4.856
5.700 2.137 3.878
5.605 5.005 2.619
0.871 -1.447 5.708
17.924 7.690 1.859
12.051 5.830 5.409
9.236 2.251 3.525
20.751 9.115 3.579
14.573 9.956 4.368
14.892 8.384 2.022
16.432 13.033 4.585
10.343 7.913 4.441
3.853 0.857 5.855
18.128 7.336 5.270
18.156 10.102 4.168
19.438 12.831 4.376
7.945 5.959 4.336
-0.010 0.065 2.035
20.440 10.713 5.912
11.923 10.532 4.749
22.745 9.838 5.454
1.524 1.742 6.147
11.948 1.721 3.143
22.275 10.456 1.736
10.154 4.968 3.923
13.726 7.286 3.977
1.040 2.363 2.436
19.825 10.857 3.985
7.611 5.310 6.243
17.901 14.124 4.786
7.210 6.004 2.432
16.259 6.932 1.659
25.381 9.595 3.212
16.659 6.242 5.454
3.971 1.354 3.908
11.147 7.430 6.284
10.739 8.132 2.422
23.424 12.920 4.023
3.533 2.107 0.051
5.956 3.020 1.979
18.853 8.016 3.566
6.363 2.324 5.855
16.450 11.071 4.351
17.879 9.202 5.911
4.965 4.206 4.325
7.405 1.159 3.536
```


LiCa2Nb3O10, optimized geometry, DFT PBE; excess energy over the best structure of this formula in the dataset = 0.00 eV per formula unit
1.0
-2.292 3.495 -3.640
0.509 -3.818 -3.986
-24.797 -9.963 6.045
Li O Nb Ca
4 40 12 8
Cartesian
-7.299 -2.669 -4.221
-19.281 -7.616 2.639
-6.841 -2.698 -0.318
-19.739 -7.587 -1.264
-3.595 -3.397 -3.064
-12.774 -6.483 -0.861
-10.561 -1.944 -1.502
-11.634 -2.963 0.819
-22.907 -8.872 -0.479
-21.581 -10.557 1.294
-16.018 -4.520 -2.270
-22.984 -6.888 1.482
-21.330 -8.435 3.174
-1.040 0.199 -1.773
-17.752 -8.791 2.373
-5.250 -1.851 -4.755
-5.548 -2.229 1.062
-10.561 -5.765 0.688
-21.032 -8.057 -2.643
-13.418 -5.081 -3.270
-2.705 -0.934 -3.839
-18.935 -5.703 2.515
-16.100 -6.352 1.875
-7.645 -4.582 -4.096
-3.389 -1.056 -6.760
-10.480 -3.934 -3.456
-17.422 -4.671 0.108
-6.303 -2.363 -2.157
-4.998 0.272 -2.875
-23.875 -9.351 2.257
-9.157 -5.614 -1.689
-13.805 -3.803 -0.720
-23.191 -9.229 5.179
-13.162 -5.205 1.689
-8.906 -3.491 0.191
-24.863 -11.936 2.653
-16.018 -8.342 -0.079
-25.539 -10.485 0.192
-14.945 -7.322 -2.400
-3.673 -1.413 -1.102
-1.716 1.650 -4.234
-17.674 -6.794 -1.772
-20.277 -7.923 0.576
-8.827 -1.494 -3.954
-12.144 -6.890 1.030
-17.421 -4.823 2.132
-9.159 -5.463 -3.713
-3.884 -1.577 0.917
-0.891 -0.161 -3.813
-13.544 -3.234 1.202
-10.526 -1.897 -3.544
-21.827 -8.552 1.222
0.000 0.000 0.000
-16.054 -8.389 1.963
-22.695 -8.709 -2.498
-4.752 -1.734 -2.803
-15.304 -5.946 -0.433
-2.741 -2.833 -5.297
-16.240 -6.136 -4.023
-22.604 -10.953 3.575
-3.975 0.667 -5.156
-23.839 -7.453 3.716
-10.340 -4.150 2.442
-11.275 -4.339 -1.148


LiCa2Nb3O10, optimized geometry, DFT PBE; excess energy over the best structure of this formula in the dataset = 0.05 eV per formula unit
1.0
-0.578 2.884 -4.712
-5.010 1.691 1.650
11.172 22.002 12.094
O Nb Li Ca
40 12 4 8
Cartesian
3.434 14.075 6.853
5.734 17.394 8.106
8.401 19.417 10.821
1.124 16.492 4.632
-2.494 4.778 -1.979
2.243 11.272 0.107
3.091 16.823 6.608
1.961 5.751 1.517
5.756 20.274 6.490
4.573 12.949 4.489
-0.093 4.732 -0.323
5.572 21.653 9.256
2.447 11.064 4.509
5.963 20.389 11.704
-1.083 2.299 -2.133
5.860 14.482 8.105
7.500 24.397 11.182
9.538 22.730 12.300
0.513 7.567 3.231
3.451 14.225 2.175
8.565 17.760 8.421
3.535 15.667 9.120
7.898 20.453 8.242
-2.489 5.791 0.611
-0.194 12.235 1.006
5.485 15.771 5.661
-0.106 7.660 -0.011
1.836 13.788 4.494
4.148 11.524 2.063
2.318 9.424 2.241
7.280 18.084 5.388
-2.623 7.520 -1.590
-4.100 3.686 1.535
6.378 25.714 8.798
-0.297 6.330 -2.598
-0.007 10.619 3.264
2.648 8.412 -0.328
7.801 23.221 8.668
9.947 21.462 9.847
1.301 12.174 6.900
0.145 14.855 4.165
2.939 12.567 5.694
-5.152 2.414 0.471
4.307 20.965 10.677
-1.169 6.423 -0.778
4.696 16.034 7.541
1.184 9.109 3.863
6.873 16.628 4.409
6.469 21.614 7.452
1.579 4.174 0.736
-2.936 3.009 -2.710
-1.570 11.417 2.257
0.951 8.775 -1.261
1.374 7.580 1.230
6.954 18.611 7.228
7.109 16.921 9.450
4.445 9.934 3.828
9.753 22.316 7.618
-1.809 3.315 0.730
1.848 12.179 2.428
7.703 21.836 10.670
-4.457 5.720 -0.927
3.468 15.860 4.254
1.430 15.223 7.568


LiCaO3: optimized geometry, PBE.

Structure (POSCAR):
```
LiCaO3
1.0
-2.130 3.045 0.690
-0.785 0.286 -3.686
-3.022 -2.221 0.471
O Ca Li
3 1 1
Cartesian
-1.458 1.666 -1.498
-1.903 -0.967 -1.608
-2.576 0.412 0.581
0.000 0.000 0.000
-2.969 0.555 -1.263
```


Number 1: energy of formation -0.791 eV/atom. Number 2: energy of formation -1.167 eV/atom. Number 3: energy of formation -1.301 eV/atom. Number 4: energy of formation -2.946 eV/atom. Number 5: energy of formation -3.097 eV/atom. Number 6: energy of formation -3.150 eV/atom. Number 7: energy of formation -3.146 eV/atom. Number 8: energy of formation -1.650 eV/atom.